FeNiSn after structural relaxation. Source: the Materials Project, functional GGA-PBE.

Cell lengths 2.916, 4.214, 4.213 Å; angles 59.99, 90.00, 90.00 degrees
Fractional coordinates of all 3 atoms:
Fe  0.500  0.667  0.667
Ni  0.500  0.333  0.333
Sn  0.000  0.000  0.000

crystal system: hexagonal
magnetization: 0.97 μB/atom
calculated volume: 14.95 A^3/atom
raw total energy: -17.60 eV/cell
mass density: 8.64 g/cm3